No. 1
First-principles (PBE+U) data for a relaxed Na4Ca7MnSi12H4O36 crystal, as listed in the Materials Project.

Calculated values
ΔH_f (0 K): -3.05 eV per atom

Cell: 7.068 8.047 14.152 Å, 95.03 90.72 102.49°
Sites, in units of the cell vectors:
O1 0.897 0.060 0.589
O2 0.498 0.808 0.730
Ca1 0.405 0.146 0.929
Si1 0.954 0.213 0.674
Si2 0.404 0.220 0.668
O3 0.903 0.054 0.089
O4 0.285 0.676 0.027
O5 0.502 0.191 0.270
O6 0.846 0.175 0.272
O7 0.103 0.937 0.914
O8 0.293 0.671 0.527
H1 0.352 0.831 0.232
O9 0.535 0.402 0.134
Ca2 0.084 0.848 0.570
O10 0.497 0.809 0.230
O11 0.467 0.598 0.366
Na1 0.251 0.552 0.170
Na2 0.747 0.449 0.829
O12 0.807 0.737 0.806
Ca3 0.595 0.853 0.072
Na3 0.253 0.551 0.671
O13 0.192 0.263 0.694
O14 0.807 0.736 0.306
O15 0.708 0.331 0.973
O16 0.092 0.606 0.359
O17 0.389 0.064 0.586
O18 0.104 0.940 0.410
O19 0.611 0.936 0.414
Si3 0.263 0.550 0.427
Si4 0.260 0.551 0.928
O20 0.502 0.191 0.770
O21 0.909 0.396 0.640
Si5 0.741 0.452 0.072
O22 0.707 0.329 0.473
O23 0.909 0.393 0.139
Ca4 0.594 0.853 0.572
O24 0.846 0.175 0.772
Na4 0.747 0.449 0.329
O25 0.090 0.603 0.859
O26 0.193 0.265 0.194
O27 0.790 0.653 0.563
Mn1 0.084 0.846 0.071
Ca5 0.406 0.147 0.428
O28 0.534 0.402 0.634
Si6 0.956 0.211 0.173
O29 0.154 0.826 0.729
Ca6 0.916 0.151 0.430
Si7 0.046 0.786 0.828
O30 0.151 0.824 0.224
H2 0.648 0.170 0.767
H3 0.648 0.170 0.266
Si8 0.737 0.451 0.572
Si9 0.046 0.787 0.324
O31 0.210 0.347 0.437
O32 0.211 0.348 0.938
Ca7 0.916 0.151 0.931
H4 0.352 0.830 0.734
O33 0.466 0.600 0.867
O34 0.611 0.937 0.914
O35 0.384 0.061 0.087
O36 0.800 0.657 0.064
Si10 0.403 0.219 0.168
Si11 0.596 0.780 0.832
Si12 0.596 0.780 0.332



No. 2
First-principles (PBE+U) data for a relaxed Na4Ca7MnSi12H4O36 crystal, as listed in the Materials Project.

Calculated values
ΔH_f (0 K): -3.05 eV per atom

Cell: 7.079 9.496 11.813 Å, 82.41 86.88 85.20°
Sites, in units of the cell vectors:
O1 0.178 0.024 0.918
O2 0.055 0.520 0.803
O3 0.825 0.479 0.584
O4 0.827 0.726 0.337
O5 0.544 0.989 0.834
Ca1 0.141 0.034 0.118
O6 0.278 0.847 0.758
O7 0.874 0.221 0.432
O8 0.736 0.466 0.933
H1 0.533 0.595 0.238
Ca2 0.142 0.278 0.869
Ca3 0.859 0.225 0.629
Na1 0.657 0.902 0.649
O9 0.127 0.279 0.068
O10 0.174 0.278 0.661
O11 0.877 0.720 0.930
Na2 0.658 0.402 0.150
Si1 0.336 0.689 0.091
O12 0.822 0.977 0.082
O13 0.388 0.271 0.464
Si2 0.347 0.917 0.870
O14 0.128 0.771 0.572
Si3 0.335 0.189 0.591
O15 0.267 0.032 0.567
O16 0.613 0.227 0.036
Ca4 0.860 0.467 0.383
Si4 0.664 0.811 0.408
O17 0.613 0.727 0.535
O18 0.541 0.655 0.154
O19 0.174 0.773 0.163
O20 0.269 0.533 0.066
O21 0.055 0.017 0.312
O22 0.541 0.156 0.654
Mn1 0.145 0.535 0.619
O23 0.459 0.346 0.845
Ca5 0.860 0.966 0.881
O24 0.543 0.490 0.335
H2 0.467 0.905 0.262
O25 0.723 0.152 0.243
O26 0.275 0.350 0.259
O27 0.451 0.512 0.663
Si5 0.144 0.903 0.644
O28 0.458 0.845 0.346
H3 0.465 0.405 0.762
O29 0.456 0.011 0.166
O30 0.731 0.967 0.434
Si6 0.665 0.311 0.908
O31 0.715 0.652 0.744
Na3 0.342 0.098 0.351
Si7 0.346 0.418 0.373
Na4 0.341 0.599 0.848
Ca6 0.142 0.775 0.373
Si8 0.857 0.594 0.853
H4 0.533 0.095 0.738
O32 0.179 0.521 0.426
O33 0.945 0.980 0.687
Si9 0.144 0.407 0.144
Si10 0.653 0.083 0.130
Ca7 0.858 0.723 0.129
Si11 0.651 0.583 0.630
O34 0.827 0.225 0.837
O35 0.945 0.482 0.189
O36 0.387 0.773 0.964
Si12 0.856 0.093 0.357



No. 3
First-principles (PBE+U) data for a relaxed NaCaMn3Si5HO15 crystal, as listed in the Materials Project.

Calculated values
ΔH_f (0 K): -2.85 eV per atom

Cell: 6.882 7.804 12.128 Å, 110.93 84.50 94.32°
Sites, in units of the cell vectors:
O1 0.418 0.233 0.818
H1 0.478 0.820 0.891
Mn1 0.063 0.940 0.349
Si1 0.880 0.512 0.854
O2 0.486 0.783 0.792
Na1 0.638 0.473 0.139
Ca1 0.719 0.294 0.525
O3 0.235 0.463 0.258
O4 0.514 0.217 0.208
O5 0.134 0.108 0.237
O6 0.765 0.537 0.742
Mn2 0.134 0.864 0.056
O7 0.641 0.076 0.617
O8 0.718 0.584 0.970
O9 0.833 0.430 0.389
O10 0.378 0.302 0.626
O11 0.077 0.702 0.177
Na2 0.362 0.527 0.861
O12 0.282 0.416 0.030
O13 0.930 0.345 0.119
O14 0.335 0.346 0.421
Mn3 0.829 0.190 0.234
Si2 0.120 0.488 0.146
O15 0.665 0.654 0.579
Ca2 0.281 0.706 0.475
O16 0.821 0.947 0.063
O17 0.582 0.767 0.182
Mn4 0.171 0.810 0.766
O18 0.033 0.206 0.530
Mn5 0.866 0.136 0.944
Si3 0.299 0.274 0.279
O19 0.359 0.924 0.383
O20 0.249 0.970 0.647
Si4 0.644 0.793 0.054
Si5 0.785 0.644 0.449
Si6 0.356 0.207 0.946
O21 0.622 0.698 0.374
O22 0.923 0.298 0.823
O23 0.167 0.570 0.611
Si7 0.577 0.870 0.327
Si8 0.215 0.356 0.551
O24 0.556 0.179 0.999
H2 0.522 0.180 0.109
O25 0.967 0.794 0.470
O26 0.070 0.655 0.881
O27 0.179 0.053 0.937
O28 0.751 0.030 0.353
O29 0.866 0.892 0.763
Mn6 0.937 0.060 0.651
Si9 0.701 0.726 0.721
Si10 0.423 0.130 0.673
O30 0.444 0.821 0.001



No. 4
First-principles (PBE+U) data for a relaxed CaMn2H8O12 crystal, as listed in the Materials Project.

Calculated values
ΔH_f (0 K): -1.38 eV per atom

Cell: 5.590 13.279 14.670 Å, 90.00 90.00 90.00°
Sites, in units of the cell vectors:
O1 0.541 0.302 0.691
O2 0.506 0.295 0.373
O3 0.519 0.501 0.697
O4 0.006 0.705 0.873
H1 0.934 0.225 0.121
H2 0.066 0.775 0.879
H3 0.434 0.775 0.621
Mn1 0.012 0.402 0.867
O5 0.494 0.408 0.119
O6 0.287 0.397 0.906
O7 0.494 0.705 0.627
H4 0.434 0.275 0.879
O8 0.672 0.409 0.549
O9 0.959 0.302 0.809
H5 0.915 0.104 0.940
Ca1 0.750 0.150 0.750
O10 0.494 0.908 0.381
H6 0.566 0.225 0.379
O11 0.172 0.591 0.049
O12 0.006 0.205 0.627
Mn2 0.488 0.402 0.633
Mn3 0.012 0.902 0.633
O13 0.959 0.802 0.691
O14 0.328 0.591 0.451
O15 0.981 0.501 0.803
O16 0.041 0.198 0.309
O17 0.994 0.592 0.619
Ca2 0.250 0.350 0.250
O18 0.519 0.001 0.803
H7 0.066 0.275 0.621
Mn4 0.512 0.598 0.367
H8 0.643 0.337 0.390
O19 0.828 0.409 0.951
H9 0.857 0.837 0.390
H10 0.857 0.337 0.110
H11 0.143 0.663 0.890
H12 0.454 0.021 0.615
O20 0.019 0.999 0.303
O21 0.994 0.092 0.881
O22 0.172 0.091 0.451
O23 0.481 0.999 0.197
O24 0.713 0.603 0.094
H13 0.085 0.896 0.060
H14 0.546 0.979 0.385
O25 0.672 0.909 0.951
H15 0.915 0.604 0.560
O26 0.287 0.897 0.594
O27 0.459 0.198 0.191
H16 0.046 0.521 0.615
H17 0.934 0.725 0.379
H18 0.643 0.837 0.110
O28 0.506 0.795 0.127
O29 0.006 0.908 0.119
O30 0.481 0.499 0.303
Mn5 0.512 0.098 0.133
H19 0.546 0.479 0.115
H20 0.357 0.163 0.890
O31 0.328 0.091 0.049
Mn6 0.988 0.098 0.367
H21 0.585 0.604 0.940
H22 0.454 0.521 0.885
H23 0.143 0.163 0.610
Mn7 0.988 0.598 0.133
O32 0.459 0.698 0.309
O33 0.994 0.295 0.127
H24 0.415 0.896 0.440
O34 0.981 0.001 0.697
O35 0.006 0.408 0.381
O36 0.994 0.795 0.373
H25 0.357 0.663 0.610
H26 0.085 0.396 0.440
H27 0.046 0.021 0.885
O37 0.541 0.802 0.809
O38 0.787 0.103 0.094
O39 0.787 0.603 0.406
O40 0.713 0.103 0.406
Ca3 0.250 0.850 0.250
O41 0.828 0.909 0.549
O42 0.019 0.499 0.197
H28 0.954 0.479 0.385
O43 0.494 0.205 0.873
H29 0.954 0.979 0.115
H30 0.566 0.725 0.121
Mn8 0.488 0.902 0.867
Ca4 0.750 0.650 0.750
O44 0.041 0.698 0.191
H31 0.585 0.104 0.560
H32 0.415 0.396 0.060
O45 0.213 0.897 0.906
O46 0.213 0.397 0.594
O47 0.506 0.592 0.881
O48 0.506 0.092 0.619



Magnetization in μB/f.u., matching the order above: 5.00; 5.00; 15.00; 0.00
Mass density in g/cm³, matching the order above: 2.9; 2.8; 3.3; 2.1
Calculated volume in Å³ per atom, matching the order above: 12.2; 12.2; 11.6; 11.8